Density functional theory data (GGA-PBE) for a geometry-optimized CdH6C4S4O2 structure.

Lattice parameters (Å, degrees): 9.8305 9.8305 12.6690 73.23 73.23 23.91
Last column: nearest neighbours and their distance in Å.
Fractional positions:
Cd 0.0000 0.5000 0.0000  6 S 2.66-2.95
Cd 0.5000 0.0000 0.5000  6 S 2.66-2.95
H 0.0130 0.0713 0.8330  1 C 1.10
H 0.9287 0.9870 0.6670  1 C 1.10
H 0.9870 0.9287 0.1670  1 C 1.10
H 0.0713 0.0130 0.3330  1 C 1.10
H 0.3425 0.6410 0.8684  1 C 1.09
H 0.3590 0.6575 0.6316  1 C 1.09
H 0.6575 0.3590 0.1316  1 C 1.09
H 0.6410 0.3425 0.3684  1 C 1.09
H 0.4421 0.7290 0.7822  1 C 1.10
H 0.2710 0.5579 0.7178  1 C 1.10
H 0.5579 0.2710 0.2178  1 C 1.10
H 0.7290 0.4421 0.2822  1 C 1.10
C 0.2788 0.8113 0.8508  3 H 1.09-1.10
C 0.1887 0.7212 0.6492  3 H 1.09-1.10
C 0.7212 0.1887 0.1492  3 H 1.09-1.10
C 0.8113 0.2788 0.3508  3 H 1.09-1.10
C 0.2646 0.9911 0.9568  1 O 1.33
C 0.0089 0.7354 0.5432  1 O 1.33
C 0.7354 0.0089 0.0432  1 O 1.33
C 0.9911 0.2646 0.4568  1 O 1.33
S 0.3533 0.9401 0.0800  1 C 1.73
S 0.0599 0.6467 0.4200  1 C 1.73
S 0.6467 0.0599 0.9200  1 C 1.73
S 0.9401 0.3533 0.5800  1 C 1.73
S 0.0982 0.2671 0.8517  1 C 1.69
S 0.7329 0.9018 0.6483  1 C 1.69
S 0.9018 0.7329 0.1483  1 C 1.69
S 0.2671 0.0982 0.3517  1 C 1.69
O 0.3374 0.7942 0.9514  2 C 1.33-1.45
O 0.2058 0.6626 0.5486  2 C 1.33-1.45
O 0.6626 0.2058 0.0486  2 C 1.33-1.45
O 0.7942 0.3374 0.4514  2 C 1.33-1.45

Final energy: -177.1 eV per cell